44
Lattice="-0.7394 9.1664 6.1782 -8.3791 -4.5732 5.7822 7.6896 -4.4944 7.5885" Properties=species:S:1:pos:R:3 comment="USCl9 PBE relaxed" corrected_energy_ev_per_atom=-4.412 ef_ev_per_atom=-1.497 magmom_total_mub_per_fu=1.0 pbc="T T T"
Cl 0.6683 -2.4422 4.0793
Cl -0.6158 -4.0802 10.2929
Cl -2.2098 3.8075 6.6920
Cl -4.9540 1.2892 11.7407
Cl -4.8777 -0.8586 6.5150
Cl -1.0617 -0.3519 11.3971
Cl 2.9911 -2.6459 11.2677
Cl 1.7474 -2.4153 7.9009
Cl -1.5603 2.0268 14.0005
Cl -3.2960 6.5296 8.7156
S -0.3212 -0.3676 6.2581
Cl -1.6763 0.3164 4.9502
Cl -5.0199 2.4617 8.8307
Cl 4.3883 2.6721 12.1142
U -0.9312 -0.4179 13.9066
Cl -4.2666 -5.4329 8.6187
Cl 1.8383 -6.0318 10.3860
Cl -0.9461 0.4069 7.9997
S -6.2198 2.0220 10.3711
Cl 1.4996 0.2393 13.8593
Cl -4.2289 -2.0973 9.8667
Cl -0.2850 -2.8853 13.8041
Cl -7.0537 -3.2254 8.0428
S 3.0234 3.4769 10.8877
Cl -0.4634 -6.3254 12.4799
Cl -0.8047 -0.5371 16.4589
U -4.5754 -3.1559 7.5994
Cl 2.4341 0.5913 9.7232
Cl 5.7665 -0.5473 10.3666
S 0.6597 -4.9337 11.5811
Cl -5.6752 4.9339 11.4913
Cl 4.5410 -0.4094 6.9827
Cl 3.4276 5.4389 10.9906
Cl 5.1413 -3.5394 8.5388
U 3.7903 -1.4887 9.1309
Cl -0.3806 6.8930 6.6450
Cl 1.0772 4.0086 8.2231
Cl -3.4073 -1.0483 14.0299
Cl 1.3249 3.3287 11.9360
U -1.1414 5.2600 8.4611
Cl -2.0609 -3.0012 7.1553
Cl 1.3005 0.7326 5.8514
Cl -7.1776 0.3836 9.7218
Cl -1.8447 3.5931 10.2133


30
Lattice="8.5127 0.0000 0.0000 -0.0164 8.5174 0.0000 -2.3813 -1.4720 14.2404" Properties=species:S:1:pos:R:3 comment="WS8Cl6 PBE relaxed" corrected_energy_ev_per_atom=-4.724 ef_ev_per_atom=-0.915 pbc="T T T"
S 0.1248 2.7206 4.2502
Cl 4.5671 6.8884 12.7146
Cl -0.1560 4.9959 13.4633
S 6.1419 6.0066 8.8046
Cl 1.5479 0.1569 1.5257
Cl 1.7189 -0.0542 12.6632
S 2.0602 5.4289 9.3528
Cl 3.9849 0.5968 10.4027
S -0.0270 1.0387 5.4358
S 4.4256 3.5080 5.6182
S -0.8124 7.1780 9.4767
S 6.9273 -0.1326 4.7637
S 6.9625 2.7585 9.0679
Cl -0.0386 5.8048 1.4839
W 2.1779 6.4561 1.5269
Cl 6.1535 1.2405 12.7565
Cl 4.3960 7.0996 1.5772
Cl 6.2710 2.0494 0.7771
Cl 2.1301 6.4485 3.8377
S 5.2436 0.2601 5.8878
Cl 2.8261 4.2379 1.5359
S -0.8476 4.2868 5.1725
S 1.6894 3.5373 8.6222
W 3.9370 0.5892 12.7135
Cl 3.2889 2.8074 12.7045
S 5.9901 4.3247 9.9902
S 4.0547 1.6164 4.8875
S 0.8714 6.7852 8.3526
S 0.3450 2.5781 9.8589
S 5.7700 4.4672 4.3815


48
Lattice="-10.7806 4.6809 -5.4018 3.5776 -2.3625 -9.1873 -3.8421 -12.4910 -3.1562" Properties=species:S:1:pos:R:3 comment="SbCl5 PBE relaxed" corrected_energy_ev_per_atom=-3.385 ef_ev_per_atom=-1.156 pbc="T T T"
Cl 2.2998 -2.6494 -7.4232
Cl -8.7408 -8.9084 -14.0859
Cl -6.4155 -2.8384 -12.3053
Cl -4.0381 -4.1052 -2.9260
Cl -4.7829 -3.0734 -9.3091
Cl -0.5993 -0.9450 -6.8836
Cl -0.9287 -3.2597 -1.2525
Sb -9.2326 -6.6192 -14.3439
Cl -6.1790 -10.2553 -4.6142
Cl -8.0443 -7.2497 -5.4334
Cl -2.3020 -3.7628 -5.9793
Cl -11.6131 -4.6790 -11.0440
Cl -7.0070 -6.0673 -14.8193
Cl -4.6296 -7.3342 -5.4400
Cl -4.5227 -9.8782 -7.7075
Cl -8.2721 -0.4442 -7.0152
Cl -3.1228 -0.2285 -10.2207
Cl -8.1887 -3.1279 -9.1152
Cl 0.5681 -5.4936 -6.7012
Cl -9.8993 -4.3658 -14.2317
Cl -10.1164 -6.9128 -16.4928
Sb -1.8125 -3.5534 -3.4013
Sb -11.1127 -6.9683 -10.7818
Cl -4.6374 -6.7169 -11.5147
Cl 0.5587 -2.9811 -4.4030
Cl -4.8661 0.0827 -13.1310
Cl -2.3043 -1.2642 -3.6594
Cl -7.9222 -9.9440 -7.5245
Cl -6.4077 -3.4557 -6.2305
Cl -1.1458 -5.8067 -3.5135
Cl -4.8635 -0.5300 -7.0465
Sb -4.6635 -1.5234 -11.4390
Sb -6.6218 -1.8385 -7.9161
Sb -4.4232 -8.3340 -9.8291
Cl -6.5224 -0.2944 -10.0377
Cl -3.0007 -2.9228 -12.3119
Cl -10.2563 -6.6623 -8.6249
Cl -0.7887 -3.5103 -9.1203
Cl -2.8563 -7.0446 -8.6300
Cl -8.7430 -6.4098 -11.7659
Cl -13.3449 -7.5232 -10.3220
Cl -11.6037 -7.1914 -13.3423
Sb -6.3815 -8.6491 -6.3062
Cl -6.2621 -7.0992 -8.4362
Cl -2.7730 -9.7283 -10.7301
Cl -6.1815 -9.6426 -10.6987
Sb 0.0676 -3.2043 -6.9634
Cl -10.4458 -9.2276 -10.8617


16
Lattice="-3.7834 -4.2016 -4.0377 6.2060 0.4830 -6.3178 4.3254 -7.4321 3.6807" Properties=species:S:1:pos:R:3 comment="SbCl3 PBE relaxed" corrected_energy_ev_per_atom=-3.748 ef_ev_per_atom=-1.329 pbc="T T T"
Cl 7.7523 -6.4442 -4.2943
Cl 0.8541 -0.9466 -1.3206
Cl 2.4365 -3.6657 0.0260
Sb 7.2344 -1.4246 -5.4356
Sb 4.4202 -7.4816 -2.4733
Cl 3.7299 -9.4029 -1.1933
Cl 4.3115 -7.4850 -6.7008
Cl -1.0042 -4.7065 -2.3805
Cl 4.6006 -4.4668 -4.1349
Cl 5.8940 -10.2041 -5.3542
Cl 3.0182 -1.7477 -5.4815
Sb -0.4864 -9.7260 -1.2393
Cl 5.1222 -6.1605 -0.6306
Cl 2.1474 -6.6839 -2.5399
Cl 1.6258 -4.9902 -6.0442
Sb 2.3278 -3.6691 -4.2015


12
Lattice="-2.5955 7.4048 1.6114 -3.0342 -6.2603 3.9707 5.9943 0.8222 5.8768" Properties=species:S:1:pos:R:3 comment="SbCl5 PBE relaxed" corrected_energy_ev_per_atom=-3.387 ef_ev_per_atom=-1.159 pbc="T T T"
Cl 0.2997 -1.2680 6.3095
Cl 2.9158 -0.9092 8.8743
Cl 0.0649 3.2347 5.1494
Cl 0.2974 2.6064 8.4115
Cl -2.5512 2.8759 2.5847
Sb 1.7540 3.4664 6.8055
Cl 1.8278 5.7638 6.4088
Cl -1.4632 -3.7971 5.0502
Cl 0.0672 -0.6396 3.0475
Cl 3.1368 2.0291 5.5961
Sb -1.3894 -1.4997 4.6535
Cl -2.7722 -0.0624 5.8629


116
Lattice="-12.9226 5.9646 -5.5239 -0.7467 -11.2007 -10.3475 -8.2224 -8.6216 9.9259" Properties=species:S:1:pos:R:3 comment="V3Sb2Cl24 PBE relaxed" corrected_energy_ev_per_atom=-4.156 ef_ev_per_atom=-1.402 magmom_total_mub_per_fu=1.1 pbc="T T T"
Cl -12.6138 -3.5095 -1.3844
Cl -12.9049 -5.9427 -3.7390
Cl -13.6224 -7.2910 -13.4699
Cl -3.4323 -8.8919 -6.7929
Sb -8.6258 -4.7868 -11.3032
Cl -6.1012 -9.3605 -1.0716
V -10.2887 0.1482 -2.3377
Cl -8.8461 -5.4881 3.7918
Cl -15.1162 -6.0912 2.2242
Cl -9.7374 -0.4512 -4.2691
Cl -12.7987 0.9698 -5.9860
Cl -12.3798 0.1578 -2.1942
Cl -6.3802 -11.8081 -3.4288
Cl -7.3342 -6.7272 -11.9186
Cl -6.0985 -5.5242 -1.9262
Cl -15.7698 -7.8255 -7.7476
V -8.8903 -4.7734 -5.4542
Cl -6.2854 -15.6842 -2.5695
Cl -12.9497 -5.3519 -7.4519
Cl -0.6849 -6.8896 -6.5516
Cl -6.9273 -10.2630 -10.5119
Cl -8.6663 -9.2438 4.8288
Cl -9.5119 -14.0155 -3.7513
Cl -10.0634 3.0016 -5.7290
Cl -6.3352 1.4911 -3.9527
Cl -15.0920 -9.0053 -0.2454
V -6.1668 -6.4662 7.4444
Cl -6.1219 -6.0322 1.8021
Cl -12.3959 -12.6601 -5.0112
Cl -15.6063 1.8265 -3.3759
Sb -7.5563 -4.1478 2.2507
Cl -13.0456 -8.3696 -9.7372
V -7.4918 -9.6951 -8.5707
V -14.3999 -4.1626 2.6252
Cl -3.2146 -6.8804 -0.6672
Cl -3.4382 -6.1008 -4.0063
Cl -10.2114 -5.2986 -13.0613
Cl -6.2845 -2.8020 0.6994
Cl -8.9812 -2.2585 2.7114
Cl -12.1543 -13.4065 -1.6764
Cl -9.9065 -2.8435 -10.6761
Cl -6.6684 -11.0339 -7.1840
Cl -8.9867 -7.9150 -2.2064
Cl -12.8563 -9.0478 -6.3958
Cl -3.4701 -12.7322 -5.9681
V -8.1184 -9.8415 2.8959
V -11.6030 -14.0059 -3.6077
Cl -9.3510 -4.2451 -3.4679
Cl -6.3223 -1.7853 -3.0142
Cl -10.0942 0.4199 -7.9970
Cl -9.2779 -10.3482 -4.5611
Cl -12.9444 4.2196 -7.0577
Cl -14.9644 -3.5947 4.5664
Cl -8.9420 -8.5058 1.5064
Cl -6.7997 -4.8524 -5.7001
Cl -3.4579 0.0626 -2.8101
Cl -6.0809 -3.4836 4.0498
Cl -12.9344 -2.6483 -4.6756
Sb -5.0435 -0.4493 -4.5682
Cl -12.3388 -15.9372 -3.9792
Cl -18.4535 -7.7569 -1.9392
Cl -15.4960 -5.3343 -1.5832
Cl -3.2874 -3.6038 -1.6645
Cl -15.5694 -12.0724 -2.9313
Cl -15.2233 -2.8238 1.2385
Cl -6.7755 -7.7665 -8.1696
Cl -12.1663 -7.1971 -0.0693
Cl -12.2068 -10.5220 0.8272
Cl -19.0295 -12.9606 -6.9427
Cl -8.9573 -11.2094 -1.2699
Cl -9.0930 -14.8275 0.0406
Cl -18.4594 -4.9658 0.8475
Cl -2.8622 -0.8971 0.9972
V -17.8845 -8.3269 -3.8784
Sb -2.1504 -7.5574 -8.3456
Cl -13.2254 -4.6139 -10.7742
Cl -15.8662 -4.0299 -8.6715
Cl -6.0254 -9.8278 2.7261
V -13.7733 -4.0161 -8.8414
Cl -18.6771 -6.9772 -5.2783
Cl -12.3067 -4.1449 2.4590
Cl -15.6072 -11.0556 -6.6449
Cl -12.9105 -11.5992 -8.6569
Sb -11.5189 2.3213 -7.5257
Cl -12.5407 -9.6126 -2.4776
V -2.0556 -2.1554 2.4815
Cl -9.0353 -4.8099 0.4504
Sb -14.3354 -9.7098 -8.1961
Cl -6.6295 -0.9577 -6.3235
Cl -11.9830 -7.7209 3.8194
Cl -9.5529 2.0795 -1.9662
Cl -8.8496 -11.7750 2.5264
Cl -0.7249 -9.4557 -8.8137
V -13.0014 -9.0842 -0.4913
Cl -9.6849 -3.3357 -6.7727
Cl -15.7905 -4.4972 -4.8738
Cl -12.9844 1.6535 -9.3197
Cl -15.8108 -10.3741 -9.9953
Cl -9.9087 -6.1368 -9.7648
Cl -3.5751 -5.6560 -7.8743
Cl -9.5850 -9.7128 -8.4044
Sb -14.2063 -3.9967 -3.1268
Cl -3.6060 -8.2377 -10.1423
Cl -9.7254 -6.6606 -5.8762
Cl -9.4958 -1.1975 -0.9343
Sb -7.6854 -9.8610 -2.8186
V -4.0072 -5.5308 -2.0670
Cl -8.2693 -6.5667 7.5245
Cl -15.7932 -8.3335 -4.0192
Cl -7.0399 -4.2784 -9.5478
Cl -18.4216 -1.1255 0.0227
Cl -15.5114 -2.0496 -2.5167
Cl -13.0420 -2.0827 -8.4718
Cl -3.7629 -2.3926 -5.1952
Cl -18.6043 -10.2539 -4.2810
Cl -6.3957 -8.5234 -4.3622


4
Lattice="-5.1936 8.2180 -2.7940 -7.8375 6.0535 -2.0602 -6.3166 7.8847 0.4986" Properties=species:S:1:pos:R:3 comment="ScCl PBE relaxed" corrected_energy_ev_per_atom=-5.822 ef_ev_per_atom=-1.732 magmom_total_mub_per_fu=0.8 pbc="T T T"
Cl -7.7869 8.9172 -1.7530
Sc -4.0474 4.6349 -0.9111
Cl -11.5608 13.2390 -2.6026
Sc -15.3003 17.5213 -3.4444


8
Lattice="5.5303 0.9405 -3.2701 2.5127 5.9680 -0.4808 6.0442 1.3223 4.1554" Properties=species:S:1:pos:R:3 comment="ScCl3 PBE relaxed" corrected_energy_ev_per_atom=-5.548 ef_ev_per_atom=-2.579 pbc="T T T"
Sc 5.3681 4.6039 -2.4908
Cl 6.7501 6.3457 -1.3373
Cl 4.3747 3.8906 -0.3048
Cl 9.7125 4.3402 0.7093
Cl 7.3371 1.8850 1.7419
Cl 6.8767 5.3059 2.6488
Sc 8.7191 3.6269 2.8953
Cl 7.2106 2.9249 -2.2443